The following is a DFT calculation (GGA+U) of Ba2Tl2Zn3Cr4O12 after structural relaxation.

Properties
The calculation puts the total magnetization at 0.556 μB per atom. Its space group is I4/mmm, No. 139. The electronic total energy comes out at -134.6 eV for the cell shown. The calculation puts the total energy after the MP2020 corrections at -150.8 eV for the cell shown. The calculation puts the formation energy at -1760 meV per atom.

abc: 22.5748 22.5748 22.5748
angles: 170.13 170.13 13.97
Positions (direct):
Ba 0.1626 0.1626 0.0000
Ba 0.8374 0.8374 0.0000
Tl 0.2753 0.2753 0.0000
Tl 0.7247 0.7247 0.0000
Zn 0.0000 0.0000 0.0000
Zn 0.0791 0.0791 0.0000
Zn 0.9209 0.9209 0.0000
Cr 0.3907 0.3907 0.0000
Cr 0.4645 0.4645 0.0000
Cr 0.5355 0.5355 0.0000
Cr 0.6093 0.6093 0.0000
O 0.0314 0.5314 0.5000
O 0.0996 0.5996 0.5000
O 0.2208 0.2208 0.0000
O 0.3479 0.3479 0.0000
O 0.4004 0.9004 0.5000
O 0.4686 0.9686 0.5000
O 0.5314 0.0314 0.5000
O 0.5996 0.0996 0.5000
O 0.6521 0.6521 0.0000
O 0.7792 0.7792 0.0000
O 0.9004 0.4004 0.5000
O 0.9686 0.4686 0.5000